Entry 1:
Density functional theory data (PBE+U) for crystalline Eu2MgVO4 at its relaxed geometry.

Results
Raw total energy = -65.523 eV/f.u.
ρ = 4926 kg/m³
Energy of formation from the pure elements = -229 kJ/mol of atoms
Magnetization = 16.789 μB per formula unit
Total energy after the MP2020 corrections = -8.746 eV/atom

Cell: 10.044 10.044 10.044 Å, 157.41 157.41 32.16°
Element x y z (fractional)
Eu (0.187, 0.187, 0.000)
Eu (0.813, 0.813, 0.000)
Mg (0.000, 0.000, 0.000)
V (0.500, 0.500, 0.000)
O (0.000, 0.500, 0.500)
O (0.303, 0.303, 0.000)
O (0.500, 0.000, 0.500)
O (0.697, 0.697, 0.000)

Entry 2:
Density functional theory data (PBE+U) for crystalline EuMgVO3 at its relaxed geometry.

Results
Raw total energy = -45.696 eV/f.u.
ρ = 5391 kg/m³
Energy of formation from the pure elements = -220 kJ/mol of atoms
Magnetization = 9.993 μB per formula unit
Total energy after the MP2020 corrections = -8.243 eV/atom

Cell: 4.417 4.419 4.478 Å, 81.33 81.28 81.82°
Element x y z (fractional)
Eu (0.000, 0.000, 0.000)
Mg (0.359, 0.358, 0.369)
V (0.655, 0.651, 0.663)
O (0.147, 0.638, 0.652)
O (0.642, 0.143, 0.649)
O (0.644, 0.639, 0.152)

Entry 3:
Density functional theory data (PBE+U) for crystalline Eu2MgV2O8 at its relaxed geometry.

Results
Raw total energy = -109.062 eV/f.u.
ρ = 4807 kg/m³
Energy of formation from the pure elements = -283 kJ/mol of atoms
Magnetization = 14.944 μB per formula unit
Total energy after the MP2020 corrections = -9.074 eV/atom

Cell: 6.254 6.254 6.360 Å, 104.94 104.94 117.00°
Element x y z (fractional)
Eu (0.000, 0.000, 0.000)
Eu (0.779, 0.221, 0.500)
Mg (0.290, 0.710, 0.000)
V (0.278, 0.722, 0.500)
V (0.548, 0.452, 0.000)
O (0.118, 0.383, 0.337)
O (0.134, 0.747, 0.705)
O (0.196, 0.336, 0.843)
O (0.253, 0.866, 0.295)
O (0.528, 0.260, 0.161)
O (0.617, 0.882, 0.663)
O (0.664, 0.804, 0.157)
O (0.740, 0.472, 0.839)

Entry 4:
Density functional theory data (PBE+U) for crystalline Eu2MgVO4 at its relaxed geometry.

Results
Raw total energy = -64.975 eV/f.u.
ρ = 6469 kg/m³
Energy of formation from the pure elements = -222 kJ/mol of atoms
Magnetization = 17.015 μB per formula unit
Total energy after the MP2020 corrections = -8.678 eV/atom

Cell: 7.398 7.398 7.398 Å, 147.93 147.93 45.99°
Element x y z (fractional)
Eu (0.112, 0.112, 0.000)
Eu (0.888, 0.888, 0.000)
Mg (0.750, 0.250, 0.500)
V (0.500, 0.500, 0.000)
O (0.308, 0.308, 0.000)
O (0.510, 0.010, 0.500)
O (0.692, 0.692, 0.000)
O (0.990, 0.490, 0.500)